1.
In4Sn3O12, optimized geometry, DFT PBE-GGA; total magnetization = 0.0 μB/f.u.; total energy = -5.914 eV/atom
1.0
6.310 0.000 0.000
-1.020 6.256 0.000
-2.056 -2.435 12.212
In Sn O
8 6 24
Direct
0.000 0.000 0.000 In
0.001 0.001 0.503 In
0.088 0.262 0.280 In
0.257 0.554 0.044 In
0.536 0.176 0.648 In
0.707 0.467 0.913 In
0.711 0.471 0.416 In
0.795 0.730 0.693 In
0.084 0.264 0.778 Sn
0.259 0.551 0.545 Sn
0.399 0.867 0.846 Sn
0.400 0.865 0.347 Sn
0.531 0.182 0.147 Sn
0.794 0.730 0.192 Sn
0.080 0.914 0.295 O
0.088 0.937 0.804 O
0.218 0.298 0.642 O
0.223 0.278 0.138 O
0.298 0.551 0.873 O
0.304 0.556 0.381 O
0.340 0.961 0.502 O
0.348 0.958 0.007 O
0.446 0.769 0.686 O
0.465 0.768 0.190 O
0.483 0.180 0.817 O
0.492 0.176 0.311 O
0.564 0.449 0.555 O
0.578 0.441 0.059 O
0.710 0.804 0.889 O
0.715 0.808 0.389 O
0.803 0.042 0.140 O
0.808 0.449 0.253 O
0.826 0.047 0.643 O
0.828 0.444 0.757 O
0.973 0.692 0.063 O
0.984 0.286 0.933 O
0.986 0.683 0.556 O
0.991 0.290 0.438 O

=====

2.
NdCuSi, optimized geometry, DFT PBE-GGA; total magnetization = 0.2 μB/f.u.; total energy = -5.356 eV/atom
1.0
4.126 0.000 0.000
-2.063 3.573 0.000
0.000 0.000 4.136
Nd Cu Si
1 1 1
Direct
0.000 0.000 0.000 Nd
0.333 0.667 0.500 Cu
0.667 0.333 0.500 Si

=====

3.
Ca2Cu9O13, optimized geometry, DFT PBE-GGA; total magnetization = 2.2 μB/f.u.; total energy = -5.251 eV/atom
1.0
4.952 -1.538 0.000
4.952 1.538 0.000
-2.423 0.000 16.218
Ca Cu O
2 9 13
Direct
0.216 0.216 0.229 Ca
0.784 0.784 0.771 Ca
0.004 0.004 0.663 Cu
0.063 0.063 0.880 Cu
0.249 0.249 0.579 Cu
0.353 0.353 0.962 Cu
0.500 0.500 0.500 Cu
0.647 0.647 0.038 Cu
0.751 0.751 0.421 Cu
0.937 0.937 0.120 Cu
0.996 0.996 0.337 Cu
0.000 0.000 0.000 O
0.117 0.117 0.773 O
0.133 0.133 0.471 O
0.299 0.299 0.071 O
0.373 0.373 0.677 O
0.391 0.391 0.388 O
0.422 0.422 0.862 O
0.578 0.578 0.138 O
0.609 0.609 0.612 O
0.627 0.627 0.323 O
0.701 0.701 0.929 O
0.867 0.867 0.529 O
0.883 0.883 0.227 O

=====

4.
NaGa3Te5, optimized geometry, DFT PBE-GGA; total energy = -3.374 eV/atom
1.0
7.476 4.317 6.026
-7.476 4.317 6.026
0.000 -8.633 6.026
Na Ga Te
4 12 20
Direct
0.000 0.000 0.000 Na
0.244 0.500 0.756 Na
0.500 0.756 0.244 Na
0.756 0.244 0.500 Na
0.074 0.378 0.339 Ga
0.157 0.753 0.334 Ga
0.247 0.843 0.666 Ga
0.334 0.157 0.753 Ga
0.339 0.074 0.378 Ga
0.378 0.339 0.074 Ga
0.622 0.926 0.661 Ga
0.661 0.622 0.926 Ga
0.666 0.247 0.843 Ga
0.753 0.334 0.157 Ga
0.843 0.666 0.247 Ga
0.926 0.661 0.622 Ga
0.000 0.423 0.577 Te
0.069 0.750 0.813 Te
0.070 0.570 0.173 Te
0.173 0.070 0.570 Te
0.187 0.250 0.931 Te
0.250 0.931 0.187 Te
0.326 0.674 0.500 Te
0.327 0.327 0.327 Te
0.423 0.577 0.000 Te
0.430 0.930 0.827 Te
0.500 0.326 0.674 Te
0.570 0.173 0.070 Te
0.577 0.000 0.423 Te
0.673 0.673 0.673 Te
0.674 0.500 0.326 Te
0.750 0.813 0.069 Te
0.813 0.069 0.750 Te
0.827 0.430 0.930 Te
0.930 0.827 0.430 Te
0.931 0.187 0.250 Te

=====

5.
ThU3Re8, optimized geometry, DFT PBE-GGA; total magnetization = 2.8 μB/f.u.; total energy = -11.752 eV/atom
1.0
4.395 -2.942 0.000
4.395 2.942 0.000
-0.043 0.000 8.633
Th U Re
1 3 8
Direct
0.000 0.000 0.000 Th
0.004 0.004 0.369 U
0.326 0.326 0.509 U
0.335 0.335 0.850 U
0.005 0.496 0.191 Re
0.326 0.834 0.680 Re
0.491 0.491 0.185 Re
0.496 0.005 0.191 Re
0.659 0.659 0.934 Re
0.665 0.665 0.435 Re
0.834 0.326 0.680 Re
0.836 0.836 0.682 Re

=====

6.
Na3Nb3AlSi3P3O24, optimized geometry, DFT PBE-GGA; total magnetization = 0.0 μB/f.u.; total energy = -7.629 eV/atom
1.0
8.786 0.000 0.000
4.393 7.628 0.000
0.028 -0.003 22.514
Na Nb Al Si P O
9 9 3 9 9 72
Direct
0.000 0.000 0.000 Na
0.000 0.007 0.507 Na
0.331 0.343 0.172 Na
0.339 0.344 0.672 Na
0.363 0.008 0.755 Na
0.660 0.672 0.838 Na
0.666 0.675 0.336 Na
0.968 0.336 0.921 Na
0.992 0.645 0.754 Na
0.000 0.007 0.362 Nb
0.000 0.011 0.150 Nb
0.000 0.011 0.652 Nb
0.329 0.344 0.028 Nb
0.329 0.346 0.529 Nb
0.333 0.342 0.318 Nb
0.335 0.342 0.821 Nb
0.668 0.673 0.985 Nb
0.671 0.677 0.484 Nb
0.670 0.674 0.192 Al
0.674 0.662 0.692 Al
0.998 0.013 0.863 Al
0.044 0.647 0.922 Si
0.047 0.341 0.423 Si
0.329 0.048 0.923 Si
0.334 0.628 0.423 Si
0.618 0.058 0.424 Si
0.630 0.332 0.924 Si
0.948 0.398 0.095 Si
0.949 0.674 0.595 Si
0.984 0.305 0.760 Si
0.292 0.725 0.758 P
0.299 0.998 0.255 P
0.388 0.672 0.094 P
0.389 0.956 0.594 P
0.663 0.957 0.094 P
0.664 0.396 0.593 P
0.711 0.307 0.255 P
0.716 0.006 0.759 P
0.990 0.721 0.255 P
0.023 0.810 0.201 O
0.026 0.832 0.912 O
0.027 0.169 0.414 O
0.030 0.173 0.702 O
0.129 0.511 0.865 O
0.136 0.373 0.365 O
0.146 0.503 0.586 O
0.147 0.367 0.085 O
0.155 0.038 0.914 O
0.160 0.538 0.262 O
0.161 0.820 0.414 O
0.167 0.309 0.482 O
0.167 0.542 0.980 O
0.169 0.320 0.762 O
0.171 0.806 0.701 O
0.175 0.031 0.201 O
0.198 0.837 0.099 O
0.199 0.981 0.598 O
0.204 0.842 0.811 O
0.205 0.979 0.311 O
0.298 0.180 0.979 O
0.300 0.540 0.482 O
0.304 0.542 0.762 O
0.310 0.169 0.261 O
0.364 0.508 0.365 O
0.364 0.511 0.086 O
0.365 0.141 0.587 O
0.366 0.139 0.864 O
0.464 0.706 0.037 O
0.467 0.847 0.537 O
0.474 0.707 0.747 O
0.479 0.837 0.248 O
0.494 0.870 0.650 O
0.497 0.652 0.149 O
0.498 0.148 0.365 O
0.500 0.374 0.866 O
0.504 0.650 0.432 O
0.505 0.144 0.085 O
0.505 0.368 0.586 O
0.507 0.861 0.931 O
0.529 0.173 0.761 O
0.530 0.312 0.982 O
0.530 0.317 0.261 O
0.532 0.176 0.482 O
0.637 0.873 0.148 O
0.638 0.506 0.648 O
0.638 0.866 0.431 O
0.644 0.511 0.931 O
0.686 0.848 0.750 O
0.691 0.488 0.249 O
0.693 0.474 0.536 O
0.694 0.848 0.037 O
0.801 0.034 0.701 O
0.803 0.183 0.201 O
0.812 0.035 0.414 O
0.821 0.168 0.915 O
0.821 0.501 0.750 O
0.826 0.212 0.311 O
0.826 0.704 0.249 O
0.830 0.209 0.598 O
0.831 0.978 0.099 O
0.834 0.702 0.535 O
0.835 0.974 0.812 O
0.839 0.474 0.032 O
0.854 0.512 0.431 O
0.855 0.516 0.150 O
0.858 0.646 0.931 O
0.861 0.650 0.653 O
0.972 0.205 0.818 O
0.972 0.834 0.311 O
0.974 0.197 0.099 O
0.975 0.847 0.598 O

=====

7.
SrNi4Sn2, optimized geometry, DFT PBE-GGA; total energy = -5.006 eV/atom
1.0
-3.943 3.943 3.902
3.943 -3.943 3.902
3.943 3.943 -3.902
Sr Ni Sn
2 8 4
Direct
0.250 0.250 0.000 Sr
0.750 0.750 0.000 Sr
0.026 0.526 0.228 Ni
0.201 0.974 0.500 Ni
0.299 0.799 0.772 Ni
0.474 0.701 0.500 Ni
0.526 0.299 0.500 Ni
0.701 0.201 0.228 Ni
0.799 0.026 0.500 Ni
0.974 0.474 0.772 Ni
0.160 0.340 0.500 Sn
0.340 0.840 0.180 Sn
0.660 0.160 0.820 Sn
0.840 0.660 0.500 Sn

=====

8.
MgTi2O5, optimized geometry, DFT PBE-GGA; total magnetization = 0.0 μB/f.u.; relative energy among the computed polymorphs = 0.01 eV per formula unit
1.0
5.266 0.000 0.000
0.000 10.076 0.000
-1.210 0.000 10.575
Mg Ti O
6 12 30
Direct
0.012 0.000 0.398 Mg
0.233 0.818 0.952 Mg
0.340 0.999 0.734 Mg
0.660 0.499 0.266 Mg
0.767 0.318 0.048 Mg
0.988 0.500 0.602 Mg
0.102 0.316 0.376 Ti
0.110 0.682 0.377 Ti
0.224 0.190 0.957 Ti
0.318 0.500 0.936 Ti
0.444 0.312 0.711 Ti
0.446 0.691 0.709 Ti
0.554 0.191 0.291 Ti
0.556 0.812 0.289 Ti
0.682 0.000 0.064 Ti
0.776 0.690 0.043 Ti
0.890 0.182 0.623 Ti
0.898 0.816 0.624 Ti
0.030 0.003 0.592 O
0.073 0.628 0.984 O
0.097 0.368 0.983 O
0.138 0.181 0.774 O
0.149 0.817 0.763 O
0.178 0.315 0.567 O
0.193 0.685 0.562 O
0.264 0.138 0.355 O
0.267 0.865 0.349 O
0.285 0.504 0.751 O
0.400 0.365 0.314 O
0.406 0.008 0.930 O
0.411 0.637 0.317 O
0.476 0.182 0.106 O
0.492 0.821 0.109 O
0.508 0.321 0.891 O
0.524 0.682 0.894 O
0.589 0.137 0.683 O
0.594 0.508 0.070 O
0.600 0.865 0.686 O
0.715 0.004 0.249 O
0.733 0.365 0.651 O
0.736 0.638 0.645 O
0.807 0.185 0.438 O
0.822 0.815 0.433 O
0.851 0.317 0.237 O
0.862 0.681 0.226 O
0.903 0.868 0.017 O
0.927 0.128 0.016 O
0.970 0.503 0.408 O

=====

9.
Na4Ge2PbS6, optimized geometry, DFT PBE-GGA; largest piezoelectric modulus = 0.22 C/m2; total magnetization = 0.0 μB/f.u.; total energy = -4.153 eV/atom
1.0
3.462 -5.967 0.000
3.462 5.967 0.000
-2.294 0.000 7.493
Na Ge Pb S
4 2 1 6
Direct
0.000 0.000 0.000 Na
0.165 0.835 0.500 Na
0.486 0.514 0.500 Na
0.844 0.156 0.500 Na
0.613 0.283 0.838 Ge
0.717 0.387 0.162 Ge
0.330 0.670 0.000 Pb
0.058 0.418 0.251 S
0.272 0.253 0.749 S
0.440 0.110 0.253 S
0.582 0.942 0.749 S
0.747 0.728 0.251 S
0.890 0.560 0.747 S

=====

10.
Y3Co6Sn5, optimized geometry, DFT PBE-GGA; total magnetization = 2.7 μB/f.u.; total energy = -6.213 eV/atom
1.0
-2.155 4.837 6.167
2.155 -4.837 6.167
2.155 4.837 -6.167
Y Co Sn
3 6 5
Direct
0.000 0.000 0.000 Y
0.317 0.317 0.000 Y
0.683 0.683 0.000 Y
0.167 0.893 0.274 Co
0.303 0.500 0.803 Co
0.381 0.107 0.274 Co
0.619 0.893 0.726 Co
0.697 0.500 0.197 Co
0.833 0.107 0.726 Co
0.018 0.677 0.341 Sn
0.335 0.677 0.659 Sn
0.500 0.000 0.500 Sn
0.665 0.323 0.341 Sn
0.982 0.323 0.659 Sn

=====

11.
CsRbMg14, optimized geometry, DFT PBE-GGA; total magnetization = 0.0 μB/f.u.; relative energy among the computed polymorphs = 0.89 eV per formula unit
1.0
7.068 0.000 0.000
-3.534 6.121 0.000
0.000 0.000 10.526
Cs Rb Mg
1 1 14
Direct
0.000 0.000 0.000 Cs
0.000 0.000 0.500 Rb
0.007 0.504 0.500 Mg
0.008 0.504 0.000 Mg
0.188 0.377 0.253 Mg
0.188 0.377 0.747 Mg
0.188 0.812 0.253 Mg
0.188 0.812 0.747 Mg
0.496 0.504 0.000 Mg
0.496 0.504 0.500 Mg
0.496 0.992 0.000 Mg
0.496 0.993 0.500 Mg
0.623 0.812 0.253 Mg
0.623 0.812 0.747 Mg
0.667 0.333 0.250 Mg
0.667 0.333 0.750 Mg

=====

12.
Tb5Ni2Sb, optimized geometry, DFT PBE-GGA; total magnetization = 0.0 μB/f.u.; total energy = -5.380 eV/atom
1.0
-3.828 3.828 6.673
3.828 -3.828 6.673
3.828 3.828 -6.673
Tb Ni Sb
10 4 2
Direct
0.000 0.000 0.000 Tb
0.023 0.523 0.823 Tb
0.201 0.023 0.500 Tb
0.299 0.799 0.823 Tb
0.477 0.299 0.500 Tb
0.500 0.500 0.000 Tb
0.523 0.701 0.500 Tb
0.701 0.201 0.177 Tb
0.799 0.977 0.500 Tb
0.977 0.477 0.177 Tb
0.124 0.376 0.500 Ni
0.376 0.876 0.252 Ni
0.624 0.124 0.748 Ni
0.876 0.624 0.500 Ni
0.250 0.250 0.000 Sb
0.750 0.750 0.000 Sb